This record from the Materials Project database describes crystalline Na14Ta2Al6Si9S3O48 at its relaxed geometry. The functional is PBE-GGA.

a = 17.6962 Å, b = 8.8596 Å, c = 21.8161 Å
α = 89.82°, β = 90.22°, γ = 119.97°
Element x y z (fractional)
O (0.4081, 0.3130, 0.2449)
O (0.9208, 0.4850, 0.4228)
O (0.8099, 0.4883, 0.6400)
O (0.7475, 0.8454, 0.0743)
O (0.6478, 0.8322, 0.9778)
O (0.7568, 0.1441, 0.6404)
O (0.9878, 0.1680, 0.3115)
O (0.1039, 0.1690, 0.8116)
O (0.0179, 0.2027, 0.1911)
O (0.3211, 0.1283, 0.4173)
O (0.0937, 0.9713, 0.1956)
O (0.3124, 0.4982, 0.6432)
O (0.2586, 0.3694, 0.1426)
O (0.6011, 0.0358, 0.3107)
O (0.4098, 0.5210, 0.7445)
O (0.2545, 0.3524, 0.4214)
O (0.3555, 0.5457, 0.5220)
O (0.2574, 0.8247, 0.7623)
O (0.4813, 0.1611, 0.3139)
O (0.9896, 0.8120, 0.0909)
O (0.4177, 0.8148, 0.5879)
O (0.2700, 0.6930, 0.9730)
O (0.1572, 0.8481, 0.9728)
O (0.4010, 0.9711, 0.4104)
O (0.5086, 0.8437, 0.4070)
O (0.6556, 0.8254, 0.2566)
O (0.9130, 0.0363, 0.8105)
O (0.6846, 0.8686, 0.8611)
O (0.5818, 0.4630, 0.9788)
O (0.5957, 0.1669, 0.0874)
O (0.2580, 0.8703, 0.3606)
O (0.6538, 0.4588, 0.4708)
O (0.9852, 0.8082, 0.8146)
O (0.7590, 0.8188, 0.7560)
O (0.5837, 0.4732, 0.2567)
O (0.7347, 0.1725, 0.5187)
O (0.1562, 0.4856, 0.7570)
O (0.5102, 0.1918, 0.1940)
O (0.5745, 0.6448, 0.0794)
O (0.7350, 0.2976, 0.0212)
O (0.5846, 0.2002, 0.4122)
O (0.7566, 0.6415, 0.8631)
O (0.8520, 0.5429, 0.5199)
O (0.7700, 0.8454, 0.4716)
O (0.5957, 0.0328, 0.5884)
O (0.7427, 0.1756, 0.2452)
O (0.0670, 0.6345, 0.3606)
O (0.4090, 0.7971, 0.3063)
O (0.4212, 0.3581, 0.9232)
O (0.2451, 0.8412, 0.0712)
O (0.8982, 0.9720, 0.6897)
O (0.4255, 0.4927, 0.4210)
O (0.4317, 0.3771, 0.6396)
O (0.9139, 0.5394, 0.0201)
O (0.1800, 0.8513, 0.5738)
O (0.2452, 0.1330, 0.9210)
O (0.1489, 0.4671, 0.4762)
O (0.0862, 0.4649, 0.9767)
O (0.9003, 0.8350, 0.1944)
O (0.2520, 0.1320, 0.6425)
O (0.0838, 0.7019, 0.4769)
O (0.3986, 0.8195, 0.9147)
O (0.3446, 0.5378, 0.2482)
O (0.0943, 0.0243, 0.5871)
O (0.8124, 0.1259, 0.1441)
O (0.7316, 0.3037, 0.7463)
O (0.9098, 0.5125, 0.7454)
O (0.3175, 0.5047, 0.9212)
O (0.6797, 0.5083, 0.0751)
O (0.4157, 0.0154, 0.0907)
O (0.3428, 0.1708, 0.7451)
O (0.9888, 0.1612, 0.5862)
O (0.6031, 0.1827, 0.8072)
O (0.5697, 0.6359, 0.3559)
O (0.8999, 0.8249, 0.9136)
O (0.4162, 0.0258, 0.8141)
O (0.4157, 0.5405, 0.0231)
O (0.5786, 0.9797, 0.9094)
O (0.6542, 0.4643, 0.7572)
O (0.8195, 0.5086, 0.9203)
O (0.4146, 0.2901, 0.5189)
O (0.7543, 0.1568, 0.9225)
O (0.4351, 0.5000, 0.1449)
O (0.5823, 0.9626, 0.1931)
O (0.2338, 0.1639, 0.2461)
O (0.3998, 0.9657, 0.6943)
O (0.0838, 0.2043, 0.6923)
O (0.2365, 0.2965, 0.0211)
O (0.7428, 0.3537, 0.4184)
O (0.0711, 0.5057, 0.8575)
O (0.1596, 0.8489, 0.2573)
O (0.6787, 0.4852, 0.3605)
O (0.2734, 0.8482, 0.4708)
O (0.0101, 0.8416, 0.4107)
O (0.1847, 0.5034, 0.3602)
O (0.9166, 0.8074, 0.3138)
O (0.2474, 0.6496, 0.5732)
O (0.7710, 0.6940, 0.9731)
O (0.0748, 0.6452, 0.0744)
O (0.8988, 0.9758, 0.4132)
O (0.8178, 0.1284, 0.4191)
O (0.3549, 0.1645, 0.0214)
O (0.2680, 0.7019, 0.2557)
O (0.9363, 0.3730, 0.6428)
O (0.7513, 0.3699, 0.1437)
O (0.7451, 0.6462, 0.5711)
O (0.0117, 0.1771, 0.9100)
O (0.3085, 0.1194, 0.1404)
O (0.7571, 0.6888, 0.2618)
O (0.1813, 0.5041, 0.0778)
O (0.5870, 0.7099, 0.4748)
O (0.9261, 0.3603, 0.9220)
O (0.5163, 0.8320, 0.6912)
O (0.2431, 0.3097, 0.7444)
O (0.0973, 0.1598, 0.0900)
O (0.4890, 0.1668, 0.5899)
O (0.0849, 0.6950, 0.7573)
O (0.9169, 0.2918, 0.5215)
O (0.5097, 0.1785, 0.9112)
O (0.9174, 0.8122, 0.5880)
O (0.0750, 0.5054, 0.5785)
O (0.2564, 0.6426, 0.8625)
O (0.5914, 0.2113, 0.6955)
O (0.6802, 0.8570, 0.5767)
O (0.9116, 0.3016, 0.2448)
O (0.3938, 0.8141, 0.1950)
O (0.0874, 0.9696, 0.9150)
O (0.0152, 0.8319, 0.6934)
O (0.1813, 0.8749, 0.8623)
O (0.5688, 0.5015, 0.8611)
O (0.8550, 0.1673, 0.0228)
O (0.5744, 0.5043, 0.5736)
O (0.8436, 0.1766, 0.7428)
O (0.7560, 0.8681, 0.3612)
O (0.0789, 0.1784, 0.4088)
O (0.9322, 0.4876, 0.1405)
O (0.4858, 0.8128, 0.0898)
O (0.5843, 0.6890, 0.7547)
O (0.4861, 0.8064, 0.8119)
O (0.9180, 0.0220, 0.0880)
O (0.8429, 0.5147, 0.2455)
O (0.0877, 0.4840, 0.2544)
O (0.2352, 0.1715, 0.5204)
O (0.1050, 0.0224, 0.3070)
Na (0.4830, 0.3102, 0.4174)
Na (0.9844, 0.3012, 0.4209)
Na (0.6685, 0.6714, 0.6647)
Na (0.6552, 0.9667, 0.0796)
Na (0.5016, 0.6260, 0.2477)
Na (0.1646, 0.0348, 0.4257)
Na (0.9827, 0.6586, 0.9131)
Na (0.3283, 0.9704, 0.5855)
Na (0.8298, 0.6912, 0.0827)
Na (0.1635, 0.2985, 0.9167)
Na (0.1525, 0.9644, 0.0811)
Na (0.6685, 0.6666, 0.1655)
Na (0.5177, 0.3419, 0.0788)
Na (0.3133, 0.6277, 0.7463)
Na (0.5016, 0.9949, 0.5000)
Na (0.3411, 0.3346, 0.8259)
Na (0.1634, 0.6618, 0.1617)
Na (0.3520, 0.6563, 0.4224)
Na (0.0141, 0.3386, 0.0799)
Na (0.6654, 0.2962, 0.9219)
Na (0.4862, 0.6675, 0.9168)
Na (0.8341, 0.3280, 0.8289)
Na (0.6547, 0.3422, 0.5846)
Na (0.0011, 0.0081, 0.9964)
Na (0.1526, 0.3379, 0.5835)
Na (0.5144, 0.6897, 0.5830)
Na (0.6649, 0.0268, 0.4206)
Na (0.8531, 0.6653, 0.4168)
Na (0.1853, 0.0030, 0.7453)
Na (0.8414, 0.3471, 0.3270)
Na (0.5027, 0.0038, 0.9951)
Na (0.9977, 0.3697, 0.7491)
Na (0.0174, 0.6959, 0.5841)
Na (0.8539, 0.0488, 0.9151)
Na (0.0027, 0.0010, 0.5001)
Na (0.3329, 0.3319, 0.3331)
Na (0.3539, 0.0421, 0.9136)
Na (0.8316, 0.9691, 0.5860)
Na (0.6872, 0.3707, 0.2457)
Na (0.1660, 0.6684, 0.6666)
Na (0.3311, 0.6925, 0.0810)
Na (0.8143, 0.9997, 0.2464)
Ta (0.5069, 0.0123, 0.1436)
Ta (0.6626, 0.6779, 0.8112)
Ta (0.1583, 0.6486, 0.3139)
Ta (0.4958, 0.9925, 0.6451)
Ta (0.0000, 0.9986, 0.6470)
Ta (0.9958, 0.9995, 0.1443)
Al (0.8383, 0.3376, 0.6837)
Al (0.3353, 0.3323, 0.6874)
Al (0.8406, 0.3460, 0.4901)
Al (0.6588, 0.6589, 0.3066)
Al (0.0003, 0.0168, 0.8429)
Al (0.1577, 0.6563, 0.8062)
Al (0.3359, 0.3480, 0.4845)
Al (0.5020, 0.0049, 0.8512)
Al (0.8369, 0.3259, 0.9822)
Al (0.5054, 0.0019, 0.3483)
Al (0.0005, 0.9991, 0.3524)
Al (0.1580, 0.6540, 0.5250)
Al (0.1605, 0.6467, 0.0249)
Al (0.6609, 0.6760, 0.5264)
Al (0.8366, 0.3390, 0.1877)
Al (0.6585, 0.6625, 0.0234)
Al (0.3376, 0.3198, 0.1780)
Al (0.3407, 0.3353, 0.9876)
Si (0.0160, 0.6652, 0.4217)
Si (0.4952, 0.7069, 0.7527)
Si (0.6667, 0.9652, 0.9209)
Si (0.0233, 0.3772, 0.9160)
Si (0.6493, 0.0027, 0.2533)
Si (0.3536, 0.0033, 0.7562)
Si (0.5229, 0.6687, 0.4150)
Si (0.4768, 0.6173, 0.0837)
Si (0.1494, 0.2951, 0.7527)
Si (0.4743, 0.3390, 0.5813)
Si (0.9967, 0.2844, 0.2521)
Si (0.9743, 0.6096, 0.0816)
Si (0.3282, 0.6132, 0.5826)
Si (0.3281, 0.0369, 0.0809)
Si (0.8523, 0.0051, 0.7504)
Si (0.1665, 0.3676, 0.4211)
Si (0.6956, 0.0558, 0.5820)
Si (0.8289, 0.6158, 0.5822)
Si (0.9938, 0.7043, 0.7556)
Si (0.8542, 0.7043, 0.2561)
Si (0.8280, 0.0442, 0.0829)
Si (0.1941, 0.0484, 0.5813)
Si (0.4922, 0.2848, 0.2551)
Si (0.5181, 0.3710, 0.9201)
Si (0.9775, 0.3357, 0.5830)
Si (0.1969, 0.3363, 0.0832)
Si (0.6980, 0.3458, 0.0812)
S (0.6657, 0.3775, 0.4156)
S (0.8092, 0.9531, 0.4161)
S (0.3094, 0.6640, 0.9175)
S (0.6468, 0.2886, 0.7520)
S (0.3134, 0.9561, 0.4158)
S (0.1486, 0.0067, 0.2519)
S (0.3542, 0.7118, 0.2514)
S (0.8119, 0.6672, 0.9182)
S (0.1673, 0.9545, 0.9176)



This record from the Materials Project database describes crystalline Na2Ta3AlSi4S2O24 at its relaxed geometry. The functional is PBE-GGA.

a = 8.7562 Å, b = 8.7881 Å, c = 22.6115 Å
α = 89.43°, β = 90.88°, γ = 119.85°
Element x y z (fractional)
O (0.1338, 0.4912, 0.5765)
O (0.4879, 0.1260, 0.6374)
O (0.9698, 0.7893, 0.8015)
O (0.7988, 0.9716, 0.6906)
O (0.8608, 0.4936, 0.1453)
O (0.3620, 0.4847, 0.3640)
O (0.7007, 0.1913, 0.7344)
O (0.8605, 0.5002, 0.4276)
O (0.2019, 0.0267, 0.5878)
O (0.9711, 0.1666, 0.3072)
O (0.8212, 0.7987, 0.3048)
O (0.8454, 0.3050, 0.5292)
O (0.3071, 0.4599, 0.4717)
O (0.7881, 0.8204, 0.1975)
O (0.5019, 0.6383, 0.8581)
O (0.1568, 0.6975, 0.7516)
O (0.8297, 0.0316, 0.8051)
O (0.5074, 0.8704, 0.0805)
O (0.4717, 0.3045, 0.0267)
O (0.5082, 0.3580, 0.1452)
O (0.9728, 0.1733, 0.5871)
O (0.1372, 0.6373, 0.3608)
O (0.8351, 0.8098, 0.5900)
O (0.6348, 0.1440, 0.4266)
O (0.1345, 0.5022, 0.8567)
O (0.8152, 0.8400, 0.9081)
O (0.1915, 0.1689, 0.0899)
O (0.1648, 0.4688, 0.9750)
O (0.8218, 0.0235, 0.0908)
O (0.2978, 0.4788, 0.7530)
O (0.8241, 0.3139, 0.2422)
O (0.6926, 0.1504, 0.0309)
O (0.1590, 0.9685, 0.9066)
O (0.3599, 0.8662, 0.5782)
O (0.1956, 0.0285, 0.3072)
O (0.1789, 0.6888, 0.4793)
O (0.1662, 0.1861, 0.6902)
O (0.6397, 0.4917, 0.6416)
O (0.6369, 0.4963, 0.9226)
O (0.5010, 0.8566, 0.3595)
O (0.0316, 0.1930, 0.9102)
O (0.1699, 0.9721, 0.1920)
O (0.5070, 0.1420, 0.9243)
O (0.5129, 0.8372, 0.7536)
O (0.4885, 0.3547, 0.4246)
O (0.0339, 0.8434, 0.4112)
O (0.4792, 0.6352, 0.5757)
O (0.3617, 0.8600, 0.8575)
O (0.1485, 0.6482, 0.0787)
O (0.5341, 0.6911, 0.2580)
O (0.9583, 0.8070, 0.0924)
O (0.6840, 0.5185, 0.5263)
O (0.3130, 0.8350, 0.2562)
O (0.8182, 0.9818, 0.4082)
O (0.1754, 0.2027, 0.4123)
O (0.6991, 0.5389, 0.2476)
O (0.3704, 0.5140, 0.0800)
O (0.3044, 0.8325, 0.9750)
O (0.4851, 0.3132, 0.7432)
O (0.1936, 0.1668, 0.8055)
O (0.5404, 0.8324, 0.4770)
O (0.8397, 0.5334, 0.7402)
O (0.1779, 0.4767, 0.2582)
O (0.8719, 0.3564, 0.6361)
O (0.4923, 0.1869, 0.2424)
O (0.8506, 0.3557, 0.9239)
O (0.8337, 0.5219, 0.0270)
O (0.0196, 0.8210, 0.6946)
O (0.0184, 0.1874, 0.1921)
O (0.5320, 0.7004, 0.9764)
O (0.4633, 0.1515, 0.5301)
O (0.6422, 0.1276, 0.1390)
Na (0.3486, 0.6633, 0.6650)
Na (0.0042, 0.9923, 0.9980)
Na (0.6721, 0.3199, 0.3231)
Na (0.6565, 0.3217, 0.8304)
Na (0.3194, 0.6535, 0.1636)
Na (0.9831, 0.9790, 0.4988)
Si (0.9451, 0.6113, 0.0883)
Si (0.9915, 0.2889, 0.2478)
Si (0.0452, 0.3854, 0.9152)
Si (0.3975, 0.3431, 0.0875)
Si (0.3342, 0.9506, 0.9159)
Si (0.2932, 0.2908, 0.7482)
Si (0.6215, 0.6736, 0.9185)
Si (0.0631, 0.6755, 0.4227)
Si (0.7054, 0.0151, 0.7480)
Si (0.6186, 0.9491, 0.4193)
Si (0.6506, 0.6110, 0.5860)
Si (0.3036, 0.0197, 0.2492)
S (0.7115, 0.7094, 0.2499)
S (0.9585, 0.3401, 0.5850)
S (0.3813, 0.0438, 0.5843)
S (0.9930, 0.7071, 0.7487)
S (0.3322, 0.3828, 0.4189)
S (0.6646, 0.0484, 0.0858)
Al (0.6727, 0.3337, 0.1871)
Al (0.6438, 0.3325, 0.6909)
Al (0.3594, 0.6901, 0.5201)
Ta (0.0186, 0.0104, 0.1420)
Ta (0.6627, 0.3419, 0.9761)
Ta (0.6773, 0.3423, 0.4770)
Ta (0.0028, 0.0159, 0.8565)
Ta (0.3241, 0.6587, 0.0225)
Ta (0.3226, 0.6755, 0.3102)
Ta (0.0009, 0.0025, 0.3539)
Ta (0.9852, 0.9965, 0.6463)
Ta (0.3401, 0.6667, 0.8110)



The records above give, respectively, energy with MP2020 corrections values of -7.232, -8.190 eV per atom.
The records above give, respectively, energy of formation from the pure elements values of -2799, -2893 meV per atom.